1.
{
  "formula": "LiZnF6",
  "functional": "PBE",
  "state": "relaxed",
  "lattice_angstrom": [[2.611, 1.508, 4.058], [-2.611, 1.508, 4.058], [0.000, -3.015, 4.058]],
  "species": ["Li", "Zn", "F", "F", "F", "F", "F", "F"],
  "fractional_positions": [[0.000, 0.000, 0.000], [0.500, 0.500, 0.500], [0.100, 0.413, 0.724], [0.276, 0.900, 0.587], [0.413, 0.724, 0.100], [0.587, 0.276, 0.900], [0.724, 0.100, 0.413], [0.900, 0.587, 0.276]],
  "m_tot_mub_per_fu": 3.0,
  "total_energy_ev_per_fu": -25.579,
  "density_g_cm3": 3.23
}

---

2.
{
  "formula": "PrSe2",
  "functional": "PBE",
  "state": "relaxed",
  "lattice_angstrom": [[8.419, 0.000, 0.000], [0.000, 8.419, 0.000], [0.000, 0.000, 8.636]],
  "species": ["Pr", "Pr", "Pr", "Pr", "Pr", "Pr", "Pr", "Pr", "Se", "Se", "Se", "Se", "Se", "Se", "Se", "Se", "Se", "Se", "Se", "Se", "Se", "Se", "Se", "Se"],
  "fractional_positions": [[0.008, 0.250, 0.274], [0.250, 0.492, 0.726], [0.250, 0.992, 0.726], [0.492, 0.750, 0.274], [0.508, 0.250, 0.274], [0.750, 0.008, 0.726], [0.750, 0.508, 0.726], [0.992, 0.750, 0.274], [0.000, 0.000, 0.000], [0.000, 0.500, 0.000], [0.002, 0.250, 0.633], [0.229, 0.729, 0.000], [0.250, 0.498, 0.367], [0.250, 0.998, 0.367], [0.271, 0.229, 0.000], [0.498, 0.750, 0.633], [0.500, 0.000, 0.000], [0.500, 0.500, 0.000], [0.502, 0.250, 0.633], [0.729, 0.771, 0.000], [0.750, 0.002, 0.367], [0.750, 0.502, 0.367], [0.771, 0.271, 0.000], [0.998, 0.750, 0.633]],
  "total_energy_ev_per_fu": -16.632,
  "density_g_cm3": 6.49
}

---

3.
{
  "formula": "NdP3H12O15",
  "functional": "PBE",
  "state": "relaxed",
  "lattice_angstrom": [[8.921, 0.000, 0.000], [0.000, 11.617, 0.000], [-1.036, 0.000, 12.750]],
  "species": ["Nd", "Nd", "Nd", "Nd", "P", "P", "P", "P", "P", "P", "P", "P", "P", "P", "P", "P", "H", "H", "H", "H", "H", "H", "H", "H", "H", "H", "H", "H", "H", "H", "H", "H", "H", "H", "H", "H", "H", "H", "H", "H", "H", "H", "H", "H", "H", "H", "H", "H", "H", "H", "H", "H", "H", "H", "H", "H", "H", "H", "H", "H", "H", "H", "H", "H", "O", "O", "O", "O", "O", "O", "O", "O", "O", "O", "O", "O", "O", "O", "O", "O", "O", "O", "O", "O", "O", "O", "O", "O", "O", "O", "O", "O", "O", "O", "O", "O", "O", "O", "O", "O", "O", "O", "O", "O", "O", "O", "O", "O", "O", "O", "O", "O", "O", "O", "O", "O", "O", "O", "O", "O", "O", "O", "O", "O"],
  "fractional_positions": [[0.187, 0.098, 0.200], [0.187, 0.402, 0.700], [0.813, 0.598, 0.300], [0.813, 0.902, 0.800], [0.037, 0.217, 0.474], [0.037, 0.283, 0.974], [0.086, 0.094, 0.678], [0.086, 0.406, 0.178], [0.172, 0.644, 0.224], [0.172, 0.856, 0.724], [0.828, 0.144, 0.276], [0.828, 0.356, 0.776], [0.914, 0.594, 0.822], [0.914, 0.906, 0.322], [0.963, 0.717, 0.026], [0.963, 0.783, 0.526], [0.117, 0.707, 0.415], [0.117, 0.793, 0.915], [0.185, 0.620, 0.540], [0.185, 0.880, 0.040], [0.212, 0.007, 0.996], [0.212, 0.493, 0.496], [0.268, 0.137, 0.455], [0.268, 0.363, 0.955], [0.332, 0.636, 0.758], [0.332, 0.864, 0.258], [0.338, 0.149, 0.876], [0.338, 0.351, 0.376], [0.357, 0.060, 0.596], [0.357, 0.440, 0.096], [0.418, 0.187, 0.588], [0.418, 0.313, 0.088], [0.428, 0.564, 0.841], [0.428, 0.936, 0.341], [0.447, 0.134, 0.054], [0.447, 0.366, 0.554], [0.465, 0.664, 0.331], [0.465, 0.836, 0.831], [0.492, 0.085, 0.870], [0.492, 0.415, 0.370], [0.508, 0.585, 0.630], [0.508, 0.915, 0.130], [0.535, 0.164, 0.169], [0.535, 0.336, 0.669], [0.553, 0.634, 0.446], [0.553, 0.866, 0.946], [0.572, 0.064, 0.659], [0.572, 0.436, 0.159], [0.582, 0.687, 0.912], [0.582, 0.813, 0.412], [0.643, 0.560, 0.904], [0.643, 0.940, 0.404], [0.662, 0.649, 0.624], [0.662, 0.851, 0.124], [0.668, 0.136, 0.742], [0.668, 0.364, 0.242], [0.732, 0.637, 0.045], [0.732, 0.863, 0.545], [0.788, 0.507, 0.504], [0.788, 0.993, 0.004], [0.815, 0.120, 0.960], [0.815, 0.380, 0.460], [0.883, 0.207, 0.085], [0.883, 0.293, 0.585], [0.046, 0.104, 0.555], [0.046, 0.396, 0.055], [0.051, 0.564, 0.767], [0.051, 0.936, 0.267], [0.059, 0.706, 0.142], [0.059, 0.794, 0.642], [0.082, 0.628, 0.319], [0.082, 0.872, 0.819], [0.131, 0.181, 0.018], [0.131, 0.319, 0.518], [0.131, 0.742, 0.487], [0.131, 0.758, 0.987], [0.178, 0.153, 0.406], [0.178, 0.347, 0.906], [0.182, 0.194, 0.720], [0.182, 0.306, 0.220], [0.201, 0.516, 0.178], [0.201, 0.984, 0.678], [0.217, 0.538, 0.560], [0.217, 0.962, 0.060], [0.320, 0.704, 0.241], [0.320, 0.796, 0.741], [0.372, 0.557, 0.771], [0.372, 0.943, 0.271], [0.413, 0.101, 0.917], [0.413, 0.399, 0.417], [0.425, 0.108, 0.558], [0.425, 0.392, 0.058], [0.435, 0.162, 0.127], [0.435, 0.338, 0.627], [0.565, 0.662, 0.373], [0.565, 0.838, 0.873], [0.575, 0.608, 0.942], [0.575, 0.892, 0.442], [0.587, 0.601, 0.583], [0.587, 0.899, 0.083], [0.628, 0.057, 0.729], [0.628, 0.443, 0.229], [0.680, 0.204, 0.259], [0.680, 0.296, 0.759], [0.783, 0.038, 0.940], [0.783, 0.462, 0.440], [0.799, 0.016, 0.322], [0.799, 0.484, 0.822], [0.818, 0.694, 0.780], [0.818, 0.806, 0.280], [0.822, 0.653, 0.094], [0.822, 0.847, 0.594], [0.869, 0.242, 0.013], [0.869, 0.258, 0.513], [0.869, 0.681, 0.482], [0.869, 0.819, 0.982], [0.918, 0.128, 0.181], [0.918, 0.372, 0.681], [0.941, 0.206, 0.358], [0.941, 0.294, 0.858], [0.949, 0.064, 0.733], [0.949, 0.436, 0.233], [0.954, 0.604, 0.945], [0.954, 0.896, 0.445]],
  "m_tot_mub_per_fu": 0.0,
  "total_energy_ev_per_fu": -184.719,
  "density_g_cm3": 2.46
}